A plane-wave DFT calculation with PBE was carried out for CsI3F16 after structural relaxation.

a b c (Å): 14.401 14.401 14.401
angles (deg): 90.00 90.00 90.00
Space group P-43n (No. 218)
Unique sites:
Cs: 0.000 0.000 0.000
Cs: 0.000 0.000 0.500
I: 0.032 0.246 0.749
F: 0.001 0.137 0.180
F: 0.016 0.185 0.361
F: 0.024 0.365 0.684
F: 0.043 0.316 0.864
F: 0.094 0.271 0.232
F: 0.192 0.192 0.808

Corrected total energy (MP2020 scheme)   -626.93 eV per cell
E_form   -2113 meV/atom